No. 1
## Ni3TeMo2O11 (PBE with a Hubbard U)

Data for Ni3TeMo2O11 after structural relaxation.

Computed properties:
ΔE_f in eV per formula unit: -28.1
Total magnetic moment in μB/f.u.: 6.000
Symmetry: C2/m

Cell: 6.562 6.562 10.300 Å, 99.78 99.78 84.97°
Positions (direct):
Ni: 0.060 0.412 0.131
Ni: 0.238 0.238 0.389
Ni: 0.412 0.060 0.131
Ni: 0.588 0.940 0.869
Ni: 0.762 0.762 0.611
Ni: 0.940 0.588 0.869
Te: 0.086 0.086 0.816
Te: 0.914 0.914 0.184
Mo: 0.288 0.712 0.500
Mo: 0.469 0.469 0.761
Mo: 0.531 0.531 0.239
Mo: 0.712 0.288 0.500
O: 0.029 0.698 0.068
O: 0.048 0.721 0.557
O: 0.119 0.119 0.192
O: 0.217 0.530 0.802
O: 0.226 0.533 0.330
O: 0.279 0.952 0.443
O: 0.302 0.971 0.932
O: 0.366 0.366 0.106
O: 0.394 0.394 0.562
O: 0.467 0.774 0.670
O: 0.470 0.783 0.198
O: 0.530 0.217 0.802
O: 0.533 0.226 0.330
O: 0.606 0.606 0.438
O: 0.634 0.634 0.894
O: 0.698 0.029 0.068
O: 0.721 0.048 0.557
O: 0.774 0.467 0.670
O: 0.783 0.470 0.198
O: 0.881 0.881 0.808
O: 0.952 0.279 0.443
O: 0.971 0.302 0.932

---

No. 2
## MgFe4Cu2O8 (PBE with a Hubbard U)

Data for MgFe4Cu2O8 after structural relaxation.

Computed properties:
ΔE_f in eV per formula unit: -20.7
Total magnetic moment in μB/f.u.: 20.001
Symmetry: C2/m

Cell: 5.953 5.953 6.017 Å, 113.86 113.86 60.42°
Positions (direct):
Mg: 0.000 0.000 0.000
Fe: 0.000 0.500 0.000
Fe: 0.130 0.130 0.466
Fe: 0.500 0.000 0.000
Fe: 0.870 0.870 0.534
Cu: 0.500 0.500 0.000
Cu: 0.500 0.500 0.500
O: 0.209 0.750 0.253
O: 0.220 0.220 0.217
O: 0.250 0.791 0.747
O: 0.283 0.283 0.810
O: 0.717 0.717 0.190
O: 0.750 0.209 0.253
O: 0.780 0.780 0.783
O: 0.791 0.250 0.747

---

No. 3
## Li3Fe2P2C2O14 (PBE with a Hubbard U)

Data for Li3Fe2P2C2O14 after structural relaxation.

Computed properties:
ΔE_f in eV per formula unit: -50.1
Total magnetic moment in μB/f.u.: 9.000
Symmetry: P-1

Cell: 8.258 8.267 8.392 Å, 93.79 92.72 103.08°
Positions (direct):
Li: 0.104 0.137 0.281
Li: 0.236 0.497 0.103
Li: 0.262 0.007 0.891
Li: 0.738 0.993 0.109
Li: 0.764 0.503 0.897
Li: 0.896 0.863 0.719
Fe: 0.027 0.281 0.675
Fe: 0.479 0.226 0.340
Fe: 0.521 0.774 0.660
Fe: 0.973 0.719 0.325
P: 0.232 0.990 0.577
P: 0.260 0.509 0.420
P: 0.740 0.491 0.580
P: 0.768 0.010 0.423
C: 0.018 0.783 0.038
C: 0.480 0.729 0.956
C: 0.520 0.271 0.044
C: 0.982 0.217 0.962
O: 0.045 0.828 0.898
O: 0.076 0.847 0.530
O: 0.094 0.347 0.930
O: 0.105 0.868 0.163
O: 0.140 0.578 0.309
O: 0.180 0.117 0.697
O: 0.184 0.442 0.573
O: 0.293 0.068 0.422
O: 0.305 0.370 0.307
O: 0.367 0.929 0.676
O: 0.394 0.646 0.829
O: 0.399 0.148 0.073
O: 0.417 0.650 0.470
O: 0.440 0.686 0.092
O: 0.560 0.314 0.908
O: 0.583 0.350 0.530
O: 0.601 0.852 0.927
O: 0.606 0.354 0.171
O: 0.633 0.071 0.324
O: 0.695 0.630 0.693
O: 0.707 0.932 0.578
O: 0.816 0.558 0.427
O: 0.820 0.883 0.303
O: 0.860 0.422 0.691
O: 0.895 0.132 0.837
O: 0.906 0.653 0.070
O: 0.924 0.153 0.470
O: 0.955 0.172 0.102

---

No. 4
## Li2Mn3Si6O16 (PBE with a Hubbard U)

Data for Li2Mn3Si6O16 after structural relaxation.

Computed properties:
ΔE_f in eV per formula unit: -77.7
Total magnetic moment in μB/f.u.: 15.001
Symmetry: P-1

Cell: 7.078 9.861 10.350 Å, 78.90 70.36 81.64°
Positions (direct):
Li: 0.092 0.115 0.033
Li: 0.170 0.416 0.681
Li: 0.830 0.584 0.319
Li: 0.908 0.885 0.967
Mn: 0.156 0.116 0.385
Mn: 0.349 0.875 0.611
Mn: 0.422 0.859 0.973
Mn: 0.578 0.141 0.027
Mn: 0.651 0.125 0.389
Mn: 0.844 0.884 0.615
Si: 0.012 0.136 0.736
Si: 0.194 0.397 0.125
Si: 0.218 0.681 0.438
Si: 0.257 0.607 0.856
Si: 0.351 0.405 0.365
Si: 0.451 0.134 0.732
Si: 0.549 0.866 0.268
Si: 0.649 0.595 0.635
Si: 0.743 0.393 0.144
Si: 0.782 0.319 0.562
Si: 0.806 0.603 0.875
Si: 0.988 0.864 0.264
O: 0.048 0.560 0.848
O: 0.060 0.020 0.632
O: 0.070 0.713 0.340
O: 0.120 0.916 0.105
O: 0.136 0.761 0.570
O: 0.217 0.193 0.744
O: 0.222 0.452 0.257
O: 0.246 0.509 0.485
O: 0.263 0.770 0.856
O: 0.264 0.233 0.124
O: 0.308 0.503 0.986
O: 0.350 0.243 0.425
O: 0.417 0.554 0.713
O: 0.439 0.722 0.333
O: 0.451 0.073 0.888
O: 0.451 0.979 0.375
O: 0.549 0.021 0.625
O: 0.549 0.927 0.112
O: 0.561 0.278 0.667
O: 0.583 0.446 0.287
O: 0.650 0.757 0.575
O: 0.692 0.497 0.014
O: 0.736 0.767 0.876
O: 0.737 0.230 0.144
O: 0.754 0.491 0.515
O: 0.778 0.548 0.743
O: 0.783 0.807 0.256
O: 0.864 0.239 0.430
O: 0.880 0.084 0.895
O: 0.930 0.287 0.660
O: 0.940 0.980 0.368
O: 0.952 0.440 0.152

---

No. 5
## Fe4H14O13 (PBE with a Hubbard U)

Data for Fe4H14O13 after structural relaxation.

Computed properties:
ΔE_f in eV per formula unit: -41.3
Total magnetic moment in μB/f.u.: 20.003
Symmetry: P1

Cell: 6.667 6.680 6.705 Å, 108.27 109.86 109.58°
Positions (direct):
Fe: 0.000 0.000 0.000
Fe: 0.004 0.500 0.502
Fe: 0.490 0.494 0.003
Fe: 0.500 0.997 0.502
H: 0.040 0.736 0.181
H: 0.159 0.139 0.530
H: 0.184 0.640 0.953
H: 0.256 0.442 0.318
H: 0.318 0.948 0.764
H: 0.441 0.188 0.146
H: 0.562 0.822 0.869
H: 0.584 0.434 0.668
H: 0.631 0.681 0.449
H: 0.676 0.065 0.243
H: 0.810 0.369 0.053
H: 0.890 0.941 0.326
H: 0.946 0.840 0.600
H: 0.952 0.251 0.804
O: 0.002 0.018 0.499
O: 0.121 0.321 0.319
O: 0.170 0.861 0.176
O: 0.182 0.507 0.828
O: 0.313 0.181 0.007
O: 0.330 0.826 0.645
O: 0.489 0.304 0.692
O: 0.504 0.687 0.320
O: 0.671 0.188 0.367
O: 0.691 0.816 0.996
O: 0.814 0.502 0.177
O: 0.825 0.132 0.816
O: 0.887 0.714 0.653

---

No. 6
## Li3Fe2P2C2O14 (PBE with a Hubbard U)

Data for Li3Fe2P2C2O14 after structural relaxation.

Computed properties:
ΔE_f in eV per formula unit: -50.1
Total magnetic moment in μB/f.u.: 9.000
Symmetry: P-1

Cell: 5.142 8.385 12.970 Å, 89.10 89.94 84.91°
Positions (direct):
Li: 0.224 0.391 0.376
Li: 0.242 0.399 0.882
Li: 0.247 0.786 0.229
Li: 0.753 0.214 0.771
Li: 0.758 0.601 0.118
Li: 0.776 0.609 0.624
Fe: 0.197 0.166 0.621
Fe: 0.200 0.172 0.124
Fe: 0.800 0.828 0.876
Fe: 0.803 0.834 0.379
P: 0.270 0.077 0.874
P: 0.276 0.079 0.371
P: 0.724 0.921 0.629
P: 0.730 0.923 0.126
C: 0.292 0.464 0.130
C: 0.300 0.454 0.628
C: 0.700 0.546 0.372
C: 0.708 0.536 0.870
O: 0.050 0.430 0.125
O: 0.055 0.425 0.623
O: 0.127 0.925 0.879
O: 0.135 0.923 0.362
O: 0.166 0.194 0.784
O: 0.197 0.181 0.467
O: 0.208 0.196 0.280
O: 0.226 0.186 0.970
O: 0.367 0.603 0.144
O: 0.385 0.590 0.626
O: 0.429 0.976 0.627
O: 0.431 0.967 0.142
O: 0.465 0.342 0.121
O: 0.466 0.325 0.634
O: 0.534 0.675 0.366
O: 0.535 0.658 0.879
O: 0.569 0.033 0.858
O: 0.571 0.024 0.373
O: 0.615 0.410 0.374
O: 0.633 0.397 0.856
O: 0.774 0.814 0.030
O: 0.792 0.804 0.720
O: 0.803 0.819 0.533
O: 0.834 0.806 0.216
O: 0.865 0.077 0.638
O: 0.873 0.075 0.121
O: 0.945 0.575 0.377
O: 0.950 0.570 0.875

---

No. 7
## MgCrTeW2O12 (PBE with a Hubbard U)

Data for MgCrTeW2O12 after structural relaxation.

Computed properties:
ΔE_f in eV per formula unit: -33.8
Total magnetic moment in μB/f.u.: 2.004
Symmetry: P1

Cell: 5.193 5.376 7.516 Å, 92.24 90.23 90.03°
Positions (direct):
Mg: 0.000 0.000 0.000
Cr: 0.987 0.580 0.736
Te: 0.506 0.089 0.235
W: 0.013 0.582 0.244
W: 0.492 0.086 0.720
O: 0.084 0.611 0.993
O: 0.196 0.904 0.283
O: 0.226 0.315 0.695
O: 0.279 0.813 0.694
O: 0.321 0.395 0.289
O: 0.377 0.100 0.992
O: 0.617 0.085 0.477
O: 0.715 0.804 0.169
O: 0.726 0.373 0.782
O: 0.794 0.895 0.787
O: 0.817 0.274 0.165
O: 0.906 0.581 0.475

---

No. 8
## Li9Mn2Co5O16 (PBE with a Hubbard U)

Data for Li9Mn2Co5O16 after structural relaxation.

Computed properties:
ΔE_f in eV per formula unit: -58.1
Total magnetic moment in μB/f.u.: 12.000
Symmetry: P1

Cell: 5.084 5.791 9.812 Å, 82.00 83.69 89.46°
Positions (direct):
Li: 0.000 0.000 0.000
Li: 0.004 0.495 0.997
Li: 0.250 0.368 0.534
Li: 0.269 0.865 0.529
Li: 0.511 0.749 0.004
Li: 0.538 0.248 0.999
Li: 0.758 0.120 0.534
Li: 0.771 0.611 0.533
Li: 0.890 0.307 0.766
Mn: 0.139 0.186 0.265
Mn: 0.640 0.930 0.266
Co: 0.140 0.684 0.267
Co: 0.379 0.064 0.770
Co: 0.398 0.551 0.763
Co: 0.639 0.431 0.268
Co: 0.889 0.807 0.766
O: 0.071 0.603 0.653
O: 0.073 0.066 0.653
O: 0.186 0.769 0.878
O: 0.224 0.263 0.891
O: 0.334 0.462 0.164
O: 0.334 0.952 0.161
O: 0.445 0.665 0.376
O: 0.476 0.141 0.384
O: 0.553 0.348 0.645
O: 0.591 0.843 0.656
O: 0.703 0.549 0.879
O: 0.708 0.009 0.878
O: 0.802 0.197 0.147
O: 0.834 0.711 0.159
O: 0.947 0.907 0.371
O: 0.948 0.413 0.372